# K2TmF5

An optimized crystal structure of K2TmF5 (PBE, the Materials Project database).

Geometry as extended XYZ:
```
32
Lattice="10.976 0.000 0.000 0.000 7.203 0.000 0.000 0.000 6.666" Properties=species:S:1:pos:R:3 pbc="T T T"
K 1.887 0.014 0.196
K 1.887 3.588 0.196
K 3.601 3.615 3.529
K 3.601 7.189 3.529
K 7.375 0.014 3.137
K 7.375 3.588 3.137
K 9.090 3.615 6.470
K 9.090 7.189 6.470
Tm 0.013 1.801 3.756
Tm 5.475 5.402 0.423
Tm 5.502 1.801 6.242
Tm 10.963 5.402 2.909
F 0.154 1.801 5.916
F 0.834 3.850 4.282
F 0.834 6.954 4.282
F 1.761 1.801 2.470
F 2.065 5.402 2.259
F 3.423 1.801 5.592
F 3.727 5.402 5.803
F 4.654 0.249 0.949
F 4.654 3.352 0.949
F 5.334 5.402 2.583
F 5.642 1.801 4.083
F 6.322 3.850 5.717
F 6.322 6.954 5.717
F 7.249 1.801 0.863
F 7.553 5.402 1.074
F 8.911 1.801 4.407
F 9.215 5.402 4.196
F 10.142 0.249 2.384
F 10.142 3.352 2.384
F 10.822 5.402 0.750
```

Output
- energy relative to the elements (meV per atom) = -3789

# K3UF6

An optimized crystal structure of K3UF6 (PBE, the Materials Project database).

Geometry as extended XYZ:
```
10
Lattice="-3.676 3.676 4.694 3.676 -3.676 4.694 3.676 3.676 -4.694" Properties=species:S:1:pos:R:3 pbc="T T T"
K 0.000 0.000 0.000
K 3.676 0.000 2.347
K 0.000 3.676 2.347
U 0.000 0.000 4.694
F 3.676 1.419 0.000
F 0.000 0.000 2.450
F 1.419 3.676 0.000
F 2.258 0.000 4.694
F 0.000 0.000 6.937
F 0.000 2.258 4.694
```

Output
- magnetization (μB per formula unit) = 2.484
- energy relative to the elements (meV per atom) = -3194

# KYF4

An optimized crystal structure of KYF4 (PBE, the Materials Project database).

Geometry as extended XYZ:
```
108
Lattice="14.293 0.000 0.000 -7.147 12.378 0.000 0.000 0.000 10.316" Properties=species:S:1:pos:R:3 pbc="T T T"
K -3.645 8.890 0.002
K -1.086 4.922 3.745
K 3.575 0.530 0.296
K -2.341 10.858 7.183
K 2.455 2.617 3.439
K 1.270 4.777 6.879
K 6.018 0.651 3.694
K 3.673 4.713 10.279
K 3.427 8.977 0.306
K 4.701 6.841 7.133
K 2.375 11.090 3.440
K 8.375 0.824 6.840
K 5.818 9.017 3.735
K 10.800 0.817 0.000
K 9.392 6.841 3.402
K 8.185 8.944 6.877
K 10.721 4.887 0.256
K 12.047 2.831 7.173
Y -2.617 6.843 6.940
Y 1.290 0.642 7.125
Y -4.574 10.866 3.654
Y 0.023 2.984 0.215
Y -1.275 8.905 3.448
Y 0.073 6.822 0.010
Y 4.645 2.515 7.040
Y 2.529 6.690 3.501
Y 1.202 9.030 6.887
Y 0.089 11.223 0.063
Y 7.141 2.685 0.206
Y 5.901 4.851 3.644
Y 4.551 10.907 7.093
Y 7.003 7.098 0.162
Y 8.397 4.842 7.083
Y 9.792 2.765 3.601
Y 7.058 10.940 0.248
Y 13.092 0.797 3.686
F -0.351 0.769 0.237
F -0.124 1.533 5.573
F -6.305 12.298 3.675
F -5.395 10.781 1.496
F -5.757 11.719 9.012
F -0.354 2.462 2.439
F -3.661 8.606 7.694
F -1.298 5.186 6.398
F -4.838 11.454 5.878
F 0.507 2.315 8.373
F -2.349 7.379 4.707
F -3.397 9.200 2.611
F -1.781 6.729 9.091
F -0.708 4.973 1.132
F -1.393 7.718 1.502
F -2.486 10.505 4.571
F 2.106 2.691 0.786
F 0.878 4.836 9.488
F 3.589 0.285 2.928
F 2.562 2.244 6.069
F -0.919 8.325 6.903
F 3.392 0.885 8.026
F -2.006 10.910 9.837
F 1.524 4.905 4.255
F 0.397 7.420 3.464
F 1.159 7.313 8.379
F -0.429 10.557 2.214
F 0.522 9.012 0.026
F 1.931 6.655 1.269
F 0.234 9.725 4.941
F 5.749 0.769 6.328
F 3.784 4.434 7.625
F 2.210 7.471 5.652
F 0.418 10.723 8.146
F 5.293 2.498 9.269
F 6.391 0.704 1.084
F 4.918 3.270 4.879
F 3.879 5.061 2.562
F 5.945 3.185 2.093
F 4.561 6.492 4.523
F 3.305 8.661 2.960
F 7.971 0.829 9.440
F 3.194 9.279 8.009
F 2.137 11.245 0.817
F 6.717 3.379 7.046
F 2.519 10.721 6.050
F 4.938 7.015 9.767
F 8.561 1.060 4.187
F 6.715 4.872 0.169
F 6.933 5.638 5.532
F 8.009 4.127 3.608
F 6.664 6.546 2.392
F 9.003 2.624 1.441
F 8.562 3.555 8.970
F 5.599 9.128 6.367
F 10.909 0.478 7.664
F 7.520 6.485 8.318
F 9.484 3.334 5.831
F 6.218 8.998 1.149
F 5.192 10.841 9.316
F 4.888 11.660 4.934
F 11.069 1.096 2.630
F 5.881 11.505 2.135
F 7.809 9.038 9.507
F 9.094 6.884 0.748
F 11.830 2.495 4.588
F 9.590 6.488 6.001
F 10.752 4.594 2.889
F 6.657 11.690 7.114
F 10.488 5.182 7.961
F 8.424 9.209 4.225
F 12.252 2.965 9.805
```

Output
- magnetization (μB per formula unit) = 0.000
- energy relative to the elements (meV per atom) = -4003

# KY3F10

An optimized crystal structure of KY3F10 (PBE, the Materials Project database).

Geometry as extended XYZ:
```
14
Lattice="4.469 2.580 3.340 -4.469 2.580 3.340 0.000 -5.161 3.340" Properties=species:S:1:pos:R:3 pbc="T T T"
K 0.000 0.000 0.000
Y 0.000 -2.495 6.216
Y -2.161 1.247 6.216
Y 2.161 1.248 6.216
F -1.288 -2.663 4.391
F -2.951 0.216 4.391
F 0.000 0.000 2.750
F 1.288 -2.663 4.391
F -1.662 2.447 4.391
F -1.281 -0.740 6.145
F 1.281 -0.740 6.145
F 0.000 1.479 6.145
F 2.951 0.216 4.391
F 1.662 2.447 4.391
```

Output
- magnetization (μB per formula unit) = 0.001
- offset from the most stable computed form (meV/atom) = 167
- largest piezoelectric modulus (C/m²) = 5.91
- energy relative to the elements (meV per atom) = -4097

# K3YF6

An optimized crystal structure of K3YF6 (PBE, the Materials Project database).

Geometry as extended XYZ:
```
10
Lattice="0.000 4.718 4.718 4.718 0.000 4.718 4.718 4.718 0.000" Properties=species:S:1:pos:R:3 pbc="T T T"
K 0.000 0.000 0.000
K 2.359 2.359 2.359
K 7.077 7.077 7.077
Y 4.718 4.718 4.718
F 4.718 4.718 2.537
F 4.718 2.537 4.718
F 6.899 4.718 4.718
F 2.537 4.718 4.718
F 4.718 6.899 4.718
F 4.718 4.718 6.899
```

Output
- magnetization (μB per formula unit) = 0.001
- energy relative to the elements (meV per atom) = -3521

# KYF4

An optimized crystal structure of KYF4 (PBE, the Materials Project database).

Geometry as extended XYZ:
```
108
Lattice="14.264 0.000 0.000 -7.132 12.353 0.000 0.000 0.000 10.314" Properties=species:S:1:pos:R:3 pbc="T T T"
K -1.343 4.864 0.000
K -3.455 9.043 3.733
K 2.235 2.728 0.326
K 1.028 4.840 7.171
K 3.547 0.755 3.479
K -2.248 11.084 6.876
K 3.490 4.750 3.716
K 6.038 0.810 10.292
K 3.591 8.758 3.438
K 2.427 10.823 0.295
K 4.815 6.719 6.854
K 8.406 0.648 7.154
K 10.784 0.572 3.764
K 6.013 8.904 0.041
K 10.544 4.824 3.416
K 11.836 2.694 6.917
K 9.500 6.956 0.278
K 8.376 9.053 7.202
Y -2.576 6.745 6.946
Y -0.152 2.972 3.575
Y 1.252 0.719 6.967
Y -4.482 10.999 0.137
Y -0.103 6.804 3.456
Y -1.188 9.041 0.018
Y 4.514 2.731 7.099
Y 1.292 8.862 6.894
Y 2.579 6.750 0.070
Y -0.003 11.212 3.508
Y 5.864 4.783 0.282
Y 7.190 2.687 3.720
Y 4.634 10.735 7.013
Y 9.642 2.544 0.223
Y 8.342 4.883 7.158
Y 7.240 7.078 3.661
Y 7.128 10.909 3.529
Y 13.016 0.725 0.091
F 13.833 0.743 3.561
F -0.223 1.508 8.512
F 0.859 0.003 0.123
F -0.487 2.424 1.341
F -5.275 10.840 2.294
F -5.715 11.793 5.074
F -1.552 4.976 7.700
F -3.340 8.710 6.389
F 0.381 2.365 5.732
F -0.971 4.860 2.601
F -4.789 11.563 8.217
F -1.967 6.691 4.714
F -2.245 7.521 9.095
F -3.201 9.318 1.082
F -1.211 7.336 1.525
F 0.663 4.922 4.520
F 1.934 2.752 2.977
F -2.438 10.764 9.477
F 2.429 2.375 8.038
F 3.585 0.480 0.849
F -0.435 7.453 6.911
F 3.347 1.042 6.108
F 1.259 5.105 9.827
F -2.047 11.209 4.262
F -0.460 9.003 3.473
F -0.174 9.734 8.401
F 1.741 6.649 2.219
F 0.895 8.250 0.035
F 1.384 7.637 4.963
F -0.354 10.711 1.276
F 3.464 4.483 6.340
F 5.850 1.092 7.641
F 2.321 7.304 8.152
F 0.503 10.537 5.657
F 3.737 5.065 1.097
F 4.781 3.271 9.326
F 5.332 2.609 4.943
F 6.382 0.848 2.612
F 5.736 3.603 2.229
F 4.676 6.402 9.488
F 2.081 10.891 2.951
F 8.009 0.704 4.535
F 3.599 8.521 0.824
F 2.538 10.466 7.958
F 6.203 4.231 7.117
F 3.409 9.082 6.039
F 5.153 6.741 4.203
F 8.650 0.759 9.778
F 7.499 3.257 0.241
F 8.275 3.166 5.667
F 6.726 6.432 1.505
F 9.041 2.505 2.450
F 7.694 4.866 3.679
F 7.385 5.584 9.105
F 5.755 9.009 7.725
F 10.914 0.299 6.415
F 9.339 3.313 8.381
F 7.574 6.577 5.888
F 5.276 10.719 4.779
F 10.993 0.916 1.162
F 6.361 8.934 2.670
F 4.893 11.501 9.170
F 5.938 11.406 1.636
F 10.393 4.520 0.765
F 11.688 2.377 9.546
F 7.974 9.062 4.600
F 10.338 5.103 6.050
F 9.282 7.112 2.902
F 6.705 11.608 6.999
F 9.650 6.584 7.973
F 12.056 2.865 4.287
F 8.548 9.302 9.853
```

Output
- magnetization (μB per formula unit) = 0.000
- energy relative to the elements (meV per atom) = -4003

# KY3F10

An optimized crystal structure of KY3F10 (PBE, the Materials Project database).

Geometry as extended XYZ:
```
28
Lattice="0.000 5.858 5.858 5.858 0.000 5.858 5.858 5.858 0.000" Properties=species:S:1:pos:R:3 pbc="T T T"
K 2.929 2.929 2.929
K 8.787 8.787 8.787
Y 5.858 5.858 2.817
Y 5.858 2.817 5.858
Y 8.898 5.858 5.858
Y 2.817 5.858 5.858
Y 5.858 8.898 5.858
Y 5.858 5.858 8.898
F 1.307 1.307 1.307
F 4.551 4.551 1.307
F 4.551 1.307 4.551
F 5.858 3.925 3.925
F 7.790 5.858 3.925
F 7.790 3.925 5.858
F 10.409 7.165 7.165
F 3.925 5.858 3.925
F 5.858 7.790 3.925
F 3.925 3.925 5.858
F 7.790 7.790 5.858
F 5.858 3.925 7.790
F 7.790 5.858 7.790
F 1.307 4.551 4.551
F 3.925 7.790 5.858
F 3.925 5.858 7.790
F 5.858 7.790 7.790
F 7.165 10.409 7.165
F 7.165 7.165 10.409
F 10.409 10.409 10.409
```

Output
- offset from the most stable computed form (meV/atom) = 0
- energy relative to the elements (meV per atom) = -4263

# K3YF6

An optimized crystal structure of K3YF6 (PBE, the Materials Project database).

Geometry as extended XYZ:
```
20
Lattice="6.407 0.000 0.000 0.000 6.655 0.000 -6.276 0.000 9.163" Properties=species:S:1:pos:R:3 pbc="T T T"
K 0.000 0.000 0.000
K -3.138 3.327 4.581
K -3.208 0.340 6.810
K -0.071 2.987 2.229
K 0.202 3.667 6.934
K 3.340 6.315 2.352
Y 0.066 0.000 4.581
Y 3.203 3.327 0.000
F -1.730 1.176 4.128
F -4.868 2.152 8.709
F -1.027 4.863 3.896
F -4.165 5.119 8.478
F 0.783 0.416 2.540
F -2.355 2.911 7.122
F 2.486 3.744 2.041
F -0.652 6.238 6.623
F 4.297 1.536 0.685
F 1.159 1.791 5.267
F 5.000 4.503 0.454
F 1.862 5.479 5.035
```

Output
- energy relative to the elements (meV per atom) = -3592

# K2YF5

An optimized crystal structure of K2YF5 (PBE, the Materials Project database).

Geometry as extended XYZ:
```
32
Lattice="10.999 0.000 0.000 0.000 7.347 0.000 0.000 0.000 6.710" Properties=species:S:1:pos:R:3 pbc="T T T"
K 1.882 0.020 0.218
K 1.882 3.653 0.218
K 3.617 3.693 3.573
K 3.617 7.327 3.573
K 7.382 0.020 3.137
K 7.382 3.653 3.137
K 9.117 3.693 6.492
K 9.117 7.327 6.492
Y 0.028 1.837 3.786
Y 5.472 5.510 0.431
Y 5.528 1.837 6.279
Y 10.971 5.510 2.924
F 0.147 1.837 5.995
F 0.826 3.931 4.341
F 0.826 7.089 4.341
F 1.832 1.837 2.504
F 2.102 5.510 2.279
F 3.398 1.837 5.635
F 3.668 5.510 5.859
F 4.673 0.257 0.986
F 4.673 3.416 0.986
F 5.353 5.510 2.640
F 5.646 1.837 4.070
F 6.326 3.931 5.724
F 6.326 7.089 5.724
F 7.332 1.837 0.851
F 7.601 5.510 1.076
F 8.898 1.837 4.431
F 9.167 5.510 4.206
F 10.173 0.257 2.369
F 10.173 3.416 2.369
F 10.853 5.510 0.715
```

Output
- energy relative to the elements (meV per atom) = -3753

# KZnF3

An optimized crystal structure of KZnF3 (PBE, the Materials Project database).

Geometry as extended XYZ:
```
5
Lattice="4.132 0.000 0.000 0.000 4.132 0.000 0.000 0.000 4.132" Properties=species:S:1:pos:R:3 pbc="T T T"
K 0.000 0.000 0.000
Zn 2.066 2.066 2.066
F 0.000 2.066 2.066
F 2.066 0.000 2.066
F 2.066 2.066 0.000
```

Output
- energy relative to the elements (meV per atom) = -2816